The following is a PBE with a Hubbard U calculation of a relaxed structure of CoP2O7, from the Materials Project database.

## Properties
Formation energy from the elements = -2.062 eV per atom
Energy above the lowest structure with this stoichiometry = 2.10 kJ/mol of atoms
SG = P2_1/c
Raw total energy = -267.0 eV for the cell shown

Cell lengths 7.8254, 6.8143, 9.2135 Å; angles 70.54, 90.00, 90.00 degrees
Sites, in units of the cell vectors:
Co: 0.2224 0.2806 0.0048
Co: 0.2776 0.2806 0.5048
Co: 0.7224 0.7194 0.4952
Co: 0.7776 0.7194 0.9952
P: 0.5369 0.9301 0.7040
P: 0.9053 0.4675 0.7959
P: 0.0369 0.0699 0.7960
P: 0.4053 0.5325 0.7041
P: 0.0947 0.5325 0.2041
P: 0.5947 0.4675 0.2959
P: 0.4631 0.0699 0.2960
P: 0.9631 0.9301 0.2040
O: 0.7412 0.5170 0.3891
O: 0.6051 0.8968 0.8658
O: 0.7588 0.5170 0.8891
O: 0.2588 0.4830 0.6109
O: 0.3851 0.7687 0.7029
O: 0.8851 0.2313 0.7971
O: 0.3949 0.1032 0.1342
O: 0.0472 0.1461 0.1507
O: 0.6801 0.9160 0.5913
O: 0.9528 0.8539 0.8493
O: 0.5472 0.8539 0.3493
O: 0.8199 0.9160 0.0913
O: 0.4178 0.4804 0.3649
O: 0.6149 0.2313 0.2971
O: 0.1801 0.0840 0.9087
O: 0.9077 0.6038 0.6235
O: 0.9178 0.5196 0.1351
O: 0.0822 0.4804 0.8649
O: 0.3199 0.0840 0.4087
O: 0.5822 0.5196 0.6351
O: 0.4077 0.3962 0.8765
O: 0.8949 0.8968 0.3658
O: 0.5923 0.6038 0.1235
O: 0.4528 0.1461 0.6507
O: 0.0923 0.3962 0.3765
O: 0.1051 0.1032 0.6342
O: 0.1149 0.7687 0.2029
O: 0.2412 0.4830 0.1109